# 1
A geometry-optimized CuH12N2O2F4 structure, computed with PBE.

Lattice parameters (Å, degrees): 7.325 6.790 28.748 90.00 100.92 90.00
Positions (direct):
Cu  0.166  0.073  0.311
Cu  0.166  0.427  0.811
Cu  0.192  0.246  0.562
Cu  0.192  0.254  0.062
Cu  0.808  0.746  0.938
Cu  0.808  0.754  0.438
Cu  0.834  0.573  0.189
Cu  0.834  0.927  0.689
H  0.091  0.182  0.224
H  0.091  0.318  0.724
H  0.092  0.124  0.476
H  0.092  0.376  0.976
H  0.092  0.553  0.725
H  0.092  0.947  0.225
H  0.111  0.140  0.975
H  0.111  0.360  0.475
H  0.140  0.721  0.649
H  0.140  0.779  0.149
H  0.146  0.078  0.396
H  0.146  0.422  0.896
H  0.156  0.215  0.650
H  0.156  0.285  0.150
H  0.163  0.562  0.398
H  0.163  0.938  0.898
H  0.200  0.510  0.230
H  0.200  0.990  0.730
H  0.201  0.639  0.105
H  0.201  0.861  0.605
H  0.227  0.745  0.475
H  0.227  0.755  0.975
H  0.239  0.587  0.345
H  0.239  0.913  0.845
H  0.240  0.617  0.606
H  0.240  0.883  0.106
H  0.254  0.131  0.875
H  0.254  0.369  0.375
H  0.349  0.666  0.267
H  0.349  0.834  0.767
H  0.360  0.625  0.521
H  0.360  0.875  0.021
H  0.365  0.739  0.148
H  0.365  0.761  0.648
H  0.375  0.215  0.648
H  0.375  0.285  0.148
H  0.376  0.629  0.019
H  0.376  0.871  0.519
H  0.377  0.062  0.401
H  0.377  0.089  0.772
H  0.377  0.411  0.272
H  0.377  0.438  0.901
H  0.395  0.556  0.397
H  0.395  0.944  0.897
H  0.459  0.736  0.479
H  0.459  0.764  0.979
H  0.467  0.025  0.308
H  0.467  0.475  0.808
H  0.533  0.525  0.192
H  0.533  0.975  0.692
H  0.541  0.236  0.021
H  0.541  0.264  0.521
H  0.605  0.056  0.103
H  0.605  0.444  0.603
H  0.623  0.562  0.099
H  0.623  0.589  0.728
H  0.623  0.911  0.228
H  0.623  0.938  0.599
H  0.624  0.129  0.481
H  0.624  0.371  0.981
H  0.625  0.715  0.852
H  0.625  0.785  0.352
H  0.635  0.239  0.352
H  0.635  0.261  0.852
H  0.640  0.125  0.979
H  0.640  0.375  0.479
H  0.651  0.166  0.233
H  0.651  0.334  0.733
H  0.746  0.631  0.625
H  0.746  0.869  0.125
H  0.760  0.117  0.894
H  0.760  0.383  0.394
H  0.761  0.087  0.155
H  0.761  0.413  0.655
H  0.773  0.245  0.025
H  0.773  0.255  0.525
H  0.799  0.139  0.395
H  0.799  0.361  0.895
H  0.800  0.010  0.270
H  0.800  0.490  0.770
H  0.837  0.062  0.102
H  0.837  0.438  0.602
H  0.844  0.715  0.850
H  0.844  0.785  0.350
H  0.854  0.578  0.104
H  0.854  0.922  0.604
H  0.860  0.221  0.851
H  0.860  0.279  0.351
H  0.889  0.640  0.525
H  0.889  0.860  0.025
H  0.908  0.053  0.775
H  0.908  0.447  0.275
H  0.908  0.624  0.024
H  0.908  0.876  0.524
H  0.909  0.682  0.276
H  0.909  0.818  0.776
N  0.236  0.740  0.626
N  0.236  0.760  0.126
N  0.263  0.522  0.378
N  0.263  0.978  0.878
N  0.312  0.530  0.256
N  0.312  0.970  0.756
N  0.354  0.747  0.498
N  0.354  0.753  0.998
N  0.646  0.247  0.002
N  0.646  0.253  0.502
N  0.688  0.030  0.244
N  0.688  0.470  0.744
N  0.737  0.022  0.122
N  0.737  0.478  0.622
N  0.764  0.240  0.874
N  0.764  0.260  0.374
O  0.145  0.067  0.243
O  0.145  0.433  0.743
O  0.164  0.236  0.493
O  0.164  0.264  0.993
O  0.246  0.116  0.380
O  0.246  0.384  0.880
O  0.251  0.237  0.131
O  0.251  0.263  0.631
O  0.749  0.737  0.369
O  0.749  0.763  0.869
O  0.754  0.616  0.120
O  0.754  0.884  0.620
O  0.836  0.736  0.007
O  0.836  0.764  0.507
O  0.855  0.567  0.257
O  0.855  0.933  0.757
F  0.010  0.029  0.564
F  0.010  0.471  0.064
F  0.015  0.164  0.681
F  0.015  0.336  0.181
F  0.022  0.708  0.689
F  0.022  0.792  0.189
F  0.043  0.529  0.444
F  0.043  0.971  0.944
F  0.390  0.050  0.061
F  0.390  0.450  0.561
F  0.439  0.636  0.815
F  0.439  0.864  0.315
F  0.463  0.197  0.309
F  0.463  0.303  0.809
F  0.472  0.502  0.071
F  0.472  0.998  0.571
F  0.528  0.002  0.429
F  0.528  0.498  0.929
F  0.537  0.697  0.191
F  0.537  0.803  0.691
F  0.561  0.136  0.685
F  0.561  0.364  0.185
F  0.610  0.550  0.439
F  0.610  0.950  0.939
F  0.957  0.029  0.056
F  0.957  0.471  0.556
F  0.978  0.208  0.811
F  0.978  0.292  0.311
F  0.985  0.664  0.819
F  0.985  0.836  0.319
F  0.990  0.529  0.936
F  0.990  0.971  0.436

Calculated values
Energy of formation from the pure elements in eV/atom: -1.14
Calculated density in Mg/m³: 2.00
VASP energy in eV/atom: -4.7515
Offset from the most stable computed form in meV per atom: 56

***

# 2
A geometry-optimized CuH12N2O2F4 structure, computed with PBE.

Lattice parameters (Å, degrees): 6.813 6.816 30.287 90.01 91.61 90.00
Positions (direct):
Cu  0.000  0.000  0.000
Cu  0.023  0.309  0.624
Cu  0.260  0.193  0.250
Cu  0.283  0.502  0.874
Cu  0.500  0.002  0.500
Cu  0.523  0.693  0.124
Cu  0.760  0.809  0.750
Cu  0.783  0.500  0.374
H  0.000  0.684  0.579
H  0.009  0.201  0.718
H  0.014  0.433  0.717
H  0.023  0.376  0.044
H  0.028  0.127  0.908
H  0.030  0.623  0.043
H  0.033  0.842  0.212
H  0.033  0.894  0.909
H  0.045  0.927  0.583
H  0.064  0.596  0.207
H  0.119  0.957  0.091
H  0.127  0.002  0.791
H  0.127  0.008  0.455
H  0.128  0.269  0.531
H  0.135  0.751  0.708
H  0.140  0.703  0.334
H  0.143  0.798  0.541
H  0.148  0.750  0.167
H  0.155  0.233  0.343
H  0.156  0.493  0.419
H  0.156  0.500  0.083
H  0.164  0.545  0.784
H  0.219  0.906  0.667
H  0.239  0.574  0.291
H  0.250  0.608  0.965
H  0.250  0.659  0.663
H  0.253  0.879  0.832
H  0.255  0.374  0.967
H  0.261  0.126  0.830
H  0.269  0.069  0.157
H  0.274  0.301  0.156
H  0.283  0.817  0.295
H  0.291  0.623  0.458
H  0.303  0.376  0.457
H  0.375  0.994  0.790
H  0.379  0.789  0.702
H  0.382  0.011  0.959
H  0.386  0.669  0.334
H  0.388  0.035  0.593
H  0.388  0.233  0.342
H  0.395  0.733  0.032
H  0.396  0.535  0.781
H  0.397  0.169  0.041
H  0.401  0.511  0.415
H  0.404  0.289  0.672
H  0.408  0.494  0.584
H  0.480  0.876  0.918
H  0.492  0.123  0.916
H  0.500  0.317  0.079
H  0.510  0.801  0.218
H  0.515  0.569  0.217
H  0.523  0.626  0.544
H  0.528  0.875  0.408
H  0.530  0.379  0.543
H  0.533  0.107  0.409
H  0.533  0.159  0.712
H  0.545  0.074  0.083
H  0.564  0.406  0.707
H  0.619  0.045  0.591
H  0.627  0.000  0.291
H  0.627  0.993  0.955
H  0.628  0.732  0.031
H  0.635  0.250  0.208
H  0.640  0.298  0.834
H  0.643  0.203  0.041
H  0.648  0.251  0.667
H  0.655  0.769  0.843
H  0.656  0.502  0.583
H  0.656  0.508  0.919
H  0.664  0.457  0.284
H  0.719  0.096  0.167
H  0.738  0.427  0.791
H  0.750  0.342  0.163
H  0.750  0.394  0.465
H  0.753  0.123  0.332
H  0.755  0.627  0.467
H  0.761  0.876  0.330
H  0.769  0.932  0.657
H  0.773  0.701  0.656
H  0.783  0.184  0.795
H  0.791  0.379  0.958
H  0.803  0.626  0.957
H  0.875  0.007  0.290
H  0.879  0.213  0.202
H  0.882  0.990  0.460
H  0.886  0.333  0.833
H  0.888  0.768  0.842
H  0.888  0.966  0.094
H  0.895  0.268  0.532
H  0.895  0.466  0.281
H  0.897  0.832  0.541
H  0.901  0.490  0.915
H  0.904  0.713  0.172
H  0.908  0.507  0.084
H  0.980  0.126  0.418
H  0.992  0.879  0.416
N  0.022  0.812  0.561
N  0.028  0.502  0.063
N  0.038  0.724  0.189
N  0.245  0.777  0.685
N  0.255  0.999  0.811
N  0.261  0.690  0.313
N  0.288  0.501  0.437
N  0.495  0.001  0.937
N  0.522  0.190  0.061
N  0.528  0.499  0.563
N  0.538  0.277  0.689
N  0.745  0.224  0.185
N  0.755  0.002  0.311
N  0.761  0.312  0.813
N  0.788  0.500  0.937
N  0.995  0.000  0.437
O  0.016  0.308  0.549
O  0.051  0.315  0.699
O  0.232  0.187  0.175
O  0.267  0.193  0.325
O  0.284  0.498  0.800
O  0.285  0.490  0.948
O  0.498  0.990  0.427
O  0.499  0.998  0.574
O  0.516  0.693  0.049
O  0.551  0.687  0.200
O  0.732  0.815  0.675
O  0.767  0.808  0.825
O  0.784  0.504  0.300
O  0.785  0.512  0.448
O  0.999  0.003  0.075
O  0.999  0.012  0.926
F  0.030  0.013  0.250
F  0.067  0.308  0.872
F  0.080  0.424  0.247
F  0.085  0.716  0.874
F  0.200  0.784  0.000
F  0.203  0.078  0.627
F  0.217  0.195  0.003
F  0.253  0.489  0.625
F  0.290  0.203  0.495
F  0.293  0.874  0.126
F  0.300  0.784  0.500
F  0.340  0.464  0.120
F  0.442  0.965  0.254
F  0.482  0.284  0.874
F  0.489  0.373  0.249
F  0.492  0.702  0.879
F  0.529  0.989  0.750
F  0.566  0.695  0.372
F  0.579  0.577  0.747
F  0.584  0.284  0.374
F  0.699  0.217  0.500
F  0.704  0.925  0.127
F  0.717  0.807  0.503
F  0.754  0.512  0.125
F  0.790  0.798  0.995
F  0.794  0.128  0.626
F  0.799  0.218  0.000
F  0.841  0.536  0.620
F  0.943  0.037  0.754
F  0.984  0.718  0.374
F  0.989  0.628  0.749
F  0.993  0.298  0.379

Calculated values
Energy of formation from the pure elements in eV/atom: -1.18
Calculated density in Mg/m³: 2.00
VASP energy in eV/atom: -4.7902
Offset from the most stable computed form in meV per atom: 17

***

# 3
A geometry-optimized CuH12N2O2F4 structure, computed with PBE.

Lattice parameters (Å, degrees): 7.140 7.140 7.337 104.95 104.95 80.70
Positions (direct):
Cu  0.200  0.800  0.750
Cu  0.800  0.200  0.250
H  0.086  0.835  0.394
H  0.096  0.603  0.389
H  0.154  0.367  0.082
H  0.165  0.914  0.106
H  0.195  0.464  0.909
H  0.224  0.264  0.400
H  0.264  0.224  0.900
H  0.367  0.154  0.582
H  0.386  0.391  0.081
H  0.391  0.386  0.581
H  0.397  0.904  0.111
H  0.464  0.195  0.409
H  0.536  0.805  0.591
H  0.603  0.096  0.889
H  0.609  0.614  0.419
H  0.614  0.609  0.919
H  0.633  0.846  0.418
H  0.736  0.776  0.100
H  0.776  0.736  0.600
H  0.805  0.536  0.091
H  0.835  0.086  0.894
H  0.846  0.633  0.918
H  0.904  0.397  0.611
H  0.914  0.165  0.606
N  0.249  0.361  0.992
N  0.361  0.249  0.492
N  0.639  0.751  0.508
N  0.751  0.639  0.008
O  0.147  0.732  0.466
O  0.268  0.853  0.034
O  0.732  0.147  0.966
O  0.853  0.268  0.534
F  0.012  0.988  0.250
F  0.033  0.411  0.249
F  0.411  0.033  0.749
F  0.412  0.588  0.750
F  0.588  0.412  0.250
F  0.589  0.967  0.251
F  0.967  0.589  0.751
F  0.988  0.012  0.750

Calculated values
Energy of formation from the pure elements in eV/atom: -1.20
Calculated density in Mg/m³: 2.02
VASP energy in eV/atom: -4.8074
Offset from the most stable computed form in meV per atom: 0

***

# 4
A geometry-optimized CuP2H12N2O8F2 structure, computed with PBE.

Lattice parameters (Å, degrees): 7.260 7.260 7.497 109.10 109.10 42.79
Positions (direct):
Cu  0.000  0.000  0.000
P  0.376  0.376  0.784
P  0.624  0.624  0.216
H  0.132  0.831  0.654
H  0.169  0.868  0.346
H  0.185  0.499  0.179
H  0.246  0.246  0.231
H  0.373  0.373  0.388
H  0.499  0.185  0.179
H  0.501  0.815  0.821
H  0.627  0.627  0.612
H  0.754  0.754  0.769
H  0.815  0.501  0.821
H  0.831  0.132  0.654
H  0.868  0.169  0.346
N  0.325  0.325  0.244
N  0.675  0.675  0.756
O  0.025  0.025  0.708
O  0.143  0.625  0.901
O  0.375  0.857  0.099
O  0.438  0.438  0.648
O  0.562  0.562  0.352
O  0.625  0.143  0.901
O  0.857  0.375  0.099
O  0.975  0.975  0.292
F  0.253  0.253  0.644
F  0.747  0.747  0.356

Calculated values
Energy of formation from the pure elements in eV/atom: -1.46
Calculated density in Mg/m³: 2.19
VASP energy in eV/atom: -5.5092